Here is Na6Zr4Si7Sn4S5O48 after structural relaxation from the Materials Project database. Energies are from GGA-PBE.

a = 17.9828 Å, b = 8.9703 Å, c = 23.2690 Å
α = 89.94°, β = 89.90°, γ = 119.96°
Fractional coordinates of all 222 atoms:
Na 0.0004 0.6315 0.2522
Na 0.4972 0.6465 0.2461
Na 0.9985 0.3482 0.7530
Na 0.5001 0.3709 0.7543
Na 0.6639 0.3148 0.9183
Na 0.1650 0.0161 0.4147
Na 0.9986 0.9826 0.5037
Na 0.4943 0.9880 0.4945
Na 0.9952 0.0015 0.9964
Na 0.4972 0.0023 0.0082
Na 0.3351 0.3370 0.8334
Na 0.8334 0.3301 0.8358
Na 0.3327 0.3367 0.3289
Na 0.8347 0.3317 0.3291
Na 0.1759 0.6750 0.1704
Na 0.6698 0.6652 0.1602
Na 0.1769 0.6844 0.6656
Na 0.6736 0.6753 0.6725
Zr 0.9986 0.9936 0.3482
Zr 0.4977 0.0010 0.8497
Zr 0.3235 0.3226 0.6913
Zr 0.8253 0.3337 0.6873
Zr 0.3322 0.3274 0.1831
Zr 0.8237 0.3231 0.1909
Zr 0.8343 0.3414 0.9804
Zr 0.3346 0.3274 0.4793
Zr 0.1683 0.6757 0.3092
Zr 0.6662 0.6748 0.3108
Zr 0.1688 0.6594 0.8136
Zr 0.6682 0.6627 0.8112
Si 0.1480 0.0081 0.2487
Si 0.6388 0.0039 0.2514
Si 0.3556 0.7099 0.2476
Si 0.8525 0.7082 0.2479
Si 0.0001 0.2915 0.2492
Si 0.1383 0.2764 0.7510
Si 0.6442 0.2878 0.7496
Si 0.5006 0.7089 0.7489
Si 0.3518 0.9955 0.7484
Si 0.8561 0.9995 0.7470
Si 0.1845 0.0370 0.5832
Si 0.8314 0.6325 0.5826
Si 0.4834 0.6272 0.0822
Si 0.3303 0.0304 0.0828
Si 0.6854 0.3312 0.0836
Si 0.8142 0.6764 0.9174
Si 0.0233 0.3797 0.9187
Si 0.5166 0.3714 0.9149
Si 0.3174 0.9573 0.4151
Si 0.0173 0.6614 0.4162
Si 0.5238 0.6702 0.4186
Sn 0.4956 0.9749 0.3533
Sn 0.9956 0.0169 0.8557
Sn 0.9991 0.9978 0.6458
Sn 0.4969 0.9933 0.6556
Sn 0.9985 0.0033 0.1545
Sn 0.4973 0.9850 0.1416
Sn 0.3461 0.3339 0.9850
Sn 0.8386 0.3524 0.4822
Sn 0.1670 0.6696 0.0188
Sn 0.6641 0.6447 0.0198
Sn 0.1720 0.6938 0.5158
Sn 0.6663 0.6625 0.5180
S 0.5002 0.2854 0.2507
S 0.0010 0.7112 0.7509
S 0.4814 0.3293 0.5843
S 0.9815 0.3368 0.5821
S 0.6855 0.0408 0.5813
S 0.3340 0.6313 0.5828
S 0.9815 0.6334 0.0842
S 0.8362 0.0399 0.0831
S 0.1844 0.3285 0.0808
S 0.3120 0.6598 0.9192
S 0.1672 0.9628 0.9170
S 0.6660 0.9551 0.9184
S 0.8120 0.9627 0.4195
S 0.1657 0.3796 0.4193
S 0.6667 0.3717 0.4171
O 0.1047 0.0314 0.3083
O 0.6029 0.0431 0.3105
O 0.4150 0.7799 0.3061
O 0.9138 0.7934 0.3045
O 0.4878 0.1855 0.3043
O 0.9837 0.1707 0.3059
O 0.0998 0.1590 0.8085
O 0.6040 0.1762 0.8080
O 0.4836 0.7964 0.8047
O 0.9857 0.7854 0.8026
O 0.4140 0.0333 0.8038
O 0.9174 0.0514 0.8042
O 0.3890 0.9594 0.6892
O 0.8982 0.9647 0.6903
O 0.0791 0.2044 0.6935
O 0.5851 0.2101 0.6915
O 0.0154 0.8131 0.6977
O 0.5210 0.8232 0.6894
O 0.3981 0.8348 0.1927
O 0.8911 0.8216 0.1897
O 0.0202 0.2176 0.1905
O 0.5145 0.2135 0.1991
O 0.0841 0.9593 0.1926
O 0.5791 0.9567 0.1952
O 0.4435 0.3566 0.6363
O 0.9417 0.3618 0.6342
O 0.2468 0.1342 0.6374
O 0.7390 0.1216 0.6332
O 0.3239 0.5293 0.6351
O 0.8170 0.5067 0.6374
O 0.4393 0.5098 0.1401
O 0.9435 0.5307 0.1365
O 0.3119 0.1205 0.1376
O 0.8269 0.1234 0.1353
O 0.2369 0.3547 0.1332
O 0.7487 0.3568 0.1374
O 0.2248 0.3053 0.0285
O 0.7308 0.3057 0.0253
O 0.4195 0.5461 0.0260
O 0.9282 0.5472 0.0326
O 0.3427 0.1384 0.0234
O 0.8490 0.1478 0.0315
O 0.2293 0.1506 0.5248
O 0.7283 0.1470 0.5288
O 0.3465 0.5495 0.5312
O 0.8471 0.5455 0.5254
O 0.4283 0.3092 0.5325
O 0.9256 0.3061 0.5303
O 0.2733 0.6919 0.9706
O 0.7721 0.7115 0.9743
O 0.0847 0.4736 0.9745
O 0.5794 0.4543 0.9706
O 0.1541 0.8566 0.9697
O 0.6550 0.8536 0.9706
O 0.2803 0.8427 0.4744
O 0.7736 0.8549 0.4719
O 0.1539 0.4580 0.4727
O 0.6553 0.4513 0.4708
O 0.0777 0.6975 0.4739
O 0.5842 0.6989 0.4756
O 0.0606 0.6363 0.3588
O 0.5666 0.6377 0.3616
O 0.2512 0.8713 0.3626
O 0.7599 0.8813 0.3679
O 0.1784 0.4811 0.3679
O 0.6826 0.4830 0.3668
O 0.0655 0.4931 0.8601
O 0.5605 0.4840 0.8568
O 0.1816 0.8804 0.8660
O 0.6789 0.8780 0.8658
O 0.2596 0.6417 0.8668
O 0.7524 0.6341 0.8618
O 0.0126 0.8412 0.4143
O 0.5177 0.8455 0.4163
O 0.4157 0.9953 0.4093
O 0.8987 0.9846 0.4140
O 0.0899 0.2023 0.4153
O 0.5885 0.2032 0.4121
O 0.0183 0.1925 0.9166
O 0.5119 0.1825 0.9116
O 0.0877 0.9722 0.9109
O 0.5908 0.9801 0.9131
O 0.3980 0.8124 0.9125
O 0.9134 0.8358 0.9103
O 0.4902 0.1724 0.5873
O 0.9884 0.1789 0.5858
O 0.0898 0.0206 0.5894
O 0.6001 0.0264 0.5862
O 0.4121 0.8077 0.5868
O 0.9169 0.8209 0.5881
O 0.4899 0.8135 0.0840
O 0.9901 0.8076 0.0871
O 0.4168 0.0197 0.0885
O 0.9154 0.0225 0.0870
O 0.0976 0.1720 0.0865
O 0.5908 0.1645 0.0901
O 0.3507 0.1758 0.7432
O 0.8542 0.1813 0.7375
O 0.2357 0.3117 0.7455
O 0.7397 0.3078 0.7447
O 0.4175 0.5171 0.7398
O 0.9256 0.5331 0.7433
O 0.3513 0.5227 0.2411
O 0.8512 0.5256 0.2434
O 0.4246 0.3127 0.2462
O 0.9177 0.3188 0.2413
O 0.2425 0.1758 0.2446
O 0.7370 0.1615 0.2468
O 0.3148 0.4985 0.9237
O 0.8183 0.4957 0.9248
O 0.4203 0.3528 0.9180
O 0.9276 0.3550 0.9260
O 0.2434 0.1371 0.9233
O 0.7440 0.1326 0.9228
O 0.3192 0.1432 0.4245
O 0.8168 0.1333 0.4266
O 0.2433 0.3571 0.4249
O 0.7440 0.3501 0.4237
O 0.4283 0.5026 0.4278
O 0.9216 0.4836 0.4205
O 0.1760 0.4862 0.0767
O 0.6837 0.5118 0.0812
O 0.0679 0.6497 0.0770
O 0.5800 0.6516 0.0755
O 0.2419 0.8368 0.0759
O 0.7579 0.8699 0.0778
O 0.1764 0.8437 0.5811
O 0.6781 0.8680 0.5768
O 0.2537 0.6418 0.5774
O 0.7431 0.6467 0.5751
O 0.0680 0.4899 0.5751
O 0.5684 0.4861 0.5771
O 0.1500 0.8287 0.2535
O 0.6469 0.8269 0.2589
O 0.2607 0.6844 0.2564
O 0.7578 0.6834 0.2584
O 0.0829 0.4824 0.2561
O 0.5771 0.4645 0.2575
O 0.1463 0.4688 0.7581
O 0.6505 0.4741 0.7532
O 0.0772 0.6885 0.7567
O 0.5834 0.6832 0.7551
O 0.2564 0.8311 0.7572
O 0.7610 0.8381 0.7552

For the density, the calculation gives 3.2 g/cm3. The MP2020-corrected energy comes out at -0.272 Ha/atom.

Here is Na2ZrSi2SnSO12 after structural relaxation from the Materials Project database. Energies are from GGA-PBE.

a = 9.0241 Å, b = 9.0323 Å, c = 23.0939 Å
α = 89.57°, β = 90.54°, γ = 119.79°
Fractional coordinates of all 114 atoms:
Na 0.9931 0.6267 0.2521
Na 0.3732 0.0058 0.7537
Na 0.6595 0.9599 0.5856
Na 0.0417 0.3402 0.0859
Na 0.3273 0.2933 0.9199
Na 0.7078 0.6732 0.4200
Na 0.0106 0.9891 0.5006
Na 0.0098 0.9899 0.9997
Na 0.6783 0.3238 0.8345
Na 0.6765 0.3232 0.3330
Na 0.3425 0.6568 0.1663
Na 0.3420 0.6567 0.6672
Zr 0.9837 0.9953 0.3523
Zr 0.9994 0.0007 0.6480
Zr 0.0017 0.9990 0.1460
Zr 0.6496 0.3284 0.6863
Zr 0.6675 0.3329 0.4807
Zr 0.3329 0.6659 0.3133
Si 0.7029 0.7057 0.2489
Si 0.9943 0.2920 0.2467
Si 0.2894 0.2992 0.7519
Si 0.7061 0.9967 0.7511
Si 0.3682 0.0383 0.5828
Si 0.6620 0.6267 0.5808
Si 0.9563 0.6253 0.0817
Si 0.3806 0.3383 0.0803
Si 0.0370 0.3762 0.9165
Si 0.3327 0.9566 0.9155
Si 0.6230 0.9617 0.4171
Si 0.0430 0.6680 0.4162
Sn 0.0079 0.0169 0.8529
Sn 0.6737 0.3512 0.1845
Sn 0.6672 0.3306 0.9803
Sn 0.3162 0.6593 0.0183
Sn 0.3402 0.6833 0.5187
Sn 0.3337 0.6669 0.8155
S 0.2963 0.0060 0.2501
S 0.9981 0.7083 0.7519
S 0.9631 0.3391 0.5838
S 0.6611 0.0392 0.0837
S 0.6279 0.6704 0.9175
S 0.3297 0.3748 0.4181
O 0.2180 0.0301 0.3018
O 0.8245 0.7872 0.3070
O 0.9760 0.1761 0.3037
O 0.2209 0.1750 0.8095
O 0.9712 0.7848 0.8041
O 0.8226 0.0198 0.8084
O 0.7890 0.9680 0.6923
O 0.1709 0.2002 0.6959
O 0.0264 0.8171 0.6998
O 0.8055 0.8257 0.1939
O 0.0244 0.2075 0.1890
O 0.1876 0.9762 0.1979
O 0.8836 0.3628 0.6355
O 0.4913 0.1216 0.6406
O 0.6433 0.5089 0.6373
O 0.8867 0.5053 0.1406
O 0.6335 0.1159 0.1357
O 0.4921 0.3598 0.1391
O 0.4583 0.3031 0.0215
O 0.8368 0.5320 0.0256
O 0.6959 0.1478 0.0311
O 0.4694 0.1577 0.5275
O 0.6919 0.5432 0.5227
O 0.8545 0.3091 0.5315
O 0.5506 0.6981 0.9694
O 0.1593 0.4467 0.9748
O 0.3103 0.8430 0.9733
O 0.5538 0.8399 0.4755
O 0.3032 0.4514 0.4703
O 0.1568 0.6887 0.4743
O 0.1265 0.6390 0.3578
O 0.5046 0.8614 0.3615
O 0.3589 0.4834 0.3660
O 0.1297 0.4951 0.8600
O 0.3657 0.8791 0.8561
O 0.5189 0.6373 0.8648
O 0.0245 0.8397 0.4114
O 0.8114 0.9742 0.4117
O 0.1829 0.2036 0.4107
O 0.0264 0.1878 0.9128
O 0.1585 0.9755 0.9104
O 0.8000 0.8196 0.9107
O 0.9725 0.1788 0.5885
O 0.1809 0.0191 0.5893
O 0.8235 0.8222 0.5881
O 0.9776 0.8140 0.0880
O 0.8201 0.0279 0.0890
O 0.1844 0.1767 0.0873
O 0.6864 0.1678 0.7451
O 0.4775 0.3112 0.7452
O 0.8510 0.5370 0.7443
O 0.6942 0.5187 0.2464
O 0.8184 0.3069 0.2428
O 0.4685 0.1549 0.2429
O 0.6375 0.5101 0.9219
O 0.8473 0.3563 0.9223
O 0.4956 0.1550 0.9216
O 0.6441 0.1498 0.4221
O 0.4900 0.3655 0.4224
O 0.8471 0.5052 0.4216
O 0.3625 0.5129 0.0758
O 0.1460 0.6377 0.0788
O 0.5120 0.8670 0.0764
O 0.3608 0.8521 0.5803
O 0.4858 0.6406 0.5770
O 0.1349 0.4872 0.5768
O 0.3064 0.8462 0.2547
O 0.5151 0.6855 0.2548
O 0.1558 0.4875 0.2538
O 0.3082 0.4873 0.7574
O 0.1597 0.7004 0.7556
O 0.5082 0.8326 0.7563

For the density, the calculation gives 3.3 g/cm3. The MP2020-corrected energy comes out at -0.272 Ha/atom.